CdWO4 | r2SCAN | relaxed

Unit cell a=5.906 b=5.047 c=5.089 alpha=88.80 beta=90.00 gamma=90.00
Sites, in units of the cell vectors:
W1 0.823 0.000 0.750
Cd1 0.309 0.500 0.750
O1 0.630 0.757 0.884
Cd2 0.691 0.500 0.250
O2 0.370 0.757 0.384
O3 0.630 0.243 0.616
O4 0.904 0.201 0.052
O5 0.904 0.799 0.448
O6 0.370 0.243 0.116
O7 0.096 0.201 0.552
O8 0.096 0.799 0.948
W2 0.177 0.000 0.250

crystal system	monoclinic
ΔE_f	-2.050	eV/atom
M_tot	0.00	μB/cell